# 1
Here is Li2Th5OF22 after structural relaxation from the Materials Project. Energies are from PBE-GGA.

Space group: P42_12
Formation enthalpy at 0 K (meV per atom): -4023
M_tot (μB/f.u.): 2.000
Uncorrected energy (eV per atom): -6.593

Cell: 11.3377 11.3377 6.8777 Å, 90.00 90.00 90.00°
Element x y z (fractional)
1 Li 0.5000 0.5000 0.2496
2 Li 0.0000 0.0000 0.7504
3 Li 0.5000 0.5000 0.7504
4 Li 0.0000 0.0000 0.2496
5 Th 0.3456 0.6544 0.5000
6 Th 0.6544 0.3456 0.5000
7 Th 0.8456 0.8456 0.5000
8 Th 0.1544 0.1544 0.5000
9 Th 0.1560 0.8440 0.0000
10 Th 0.8440 0.1560 0.0000
11 Th 0.6560 0.6560 0.0000
12 Th 0.3440 0.3440 0.0000
13 Th 0.0000 0.5000 0.2560
14 Th 0.5000 0.0000 0.7440
15 O 0.0000 0.5000 0.6966
16 O 0.5000 0.0000 0.3034
17 F 0.0885 0.6506 0.0625
18 F 0.9115 0.3494 0.0625
19 F 0.5885 0.8494 0.9375
20 F 0.4115 0.1506 0.9375
21 F 0.6506 0.0885 0.9375
22 F 0.3494 0.9115 0.9375
23 F 0.8494 0.5885 0.0625
24 F 0.1506 0.4115 0.0625
25 F 0.9981 0.8319 0.2486
26 F 0.0019 0.1681 0.2486
27 F 0.4981 0.6681 0.7514
28 F 0.5019 0.3319 0.7514
29 F 0.8319 0.9981 0.7514
30 F 0.1681 0.0019 0.7514
31 F 0.6681 0.4981 0.2486
32 F 0.3319 0.5019 0.2486
33 F 0.5035 0.6764 0.2516
34 F 0.4965 0.3236 0.2516
35 F 0.0035 0.8236 0.7484
36 F 0.9965 0.1764 0.7484
37 F 0.6764 0.5035 0.7484
38 F 0.3236 0.4965 0.7484
39 F 0.8236 0.0035 0.2516
40 F 0.1764 0.9965 0.2516
41 F 0.1527 0.5905 0.4436
42 F 0.8473 0.4095 0.4436
43 F 0.6527 0.9095 0.5564
44 F 0.3473 0.0905 0.5564
45 F 0.5905 0.1527 0.5564
46 F 0.4095 0.8473 0.5564
47 F 0.9095 0.6527 0.4436
48 F 0.0905 0.3473 0.4436
49 F 0.2687 0.7647 0.2471
50 F 0.7313 0.2353 0.2471
51 F 0.7687 0.7353 0.7529
52 F 0.2313 0.2647 0.7529
53 F 0.7647 0.2687 0.7529
54 F 0.2353 0.7313 0.7529
55 F 0.7353 0.7687 0.2471
56 F 0.2647 0.2313 0.2471
57 F 0.5000 0.5000 0.0000
58 F 0.0000 0.0000 0.0000
59 F 0.5000 0.5000 0.5000
60 F 0.0000 0.0000 0.5000

---

# 2
Here is Ca3SiCl2O4 after structural relaxation from the Materials Project. Energies are from PBE-GGA.

Space group: P2_1/c
Formation enthalpy at 0 K (meV per atom): -3158
M_tot (μB/f.u.): 0.000
Uncorrected energy (eV per atom): -6.376

Cell: 6.8225 9.9264 10.9358 Å, 74.26 90.00 90.00°
Element x y z (fractional)
1 Ca 0.2587 0.1973 0.9542
2 Ca 0.7587 0.8027 0.5458
3 Ca 0.7413 0.8027 0.0458
4 Ca 0.2413 0.1973 0.4542
5 Ca 0.5388 0.0787 0.7282
6 Ca 0.0388 0.9213 0.7718
7 Ca 0.4612 0.9213 0.2718
8 Ca 0.9612 0.0787 0.2282
9 Ca 0.7834 0.4249 0.8890
10 Ca 0.2834 0.5751 0.6110
11 Ca 0.2166 0.5751 0.1110
12 Ca 0.7166 0.4249 0.3890
13 Si 0.7503 0.1187 0.9702
14 Si 0.2503 0.8813 0.5298
15 Si 0.2497 0.8813 0.0298
16 Si 0.7497 0.1187 0.4702
17 Cl 0.2012 0.5080 0.8753
18 Cl 0.7012 0.4920 0.6247
19 Cl 0.7988 0.4920 0.1247
20 Cl 0.2988 0.5080 0.3753
21 Cl 0.1822 0.2862 0.6811
22 Cl 0.6822 0.7138 0.8189
23 Cl 0.8178 0.7138 0.3189
24 Cl 0.3178 0.2862 0.1811
25 O 0.5832 0.2331 0.8964
26 O 0.0832 0.7669 0.6036
27 O 0.4168 0.7669 0.1036
28 O 0.9168 0.2331 0.3964
29 O 0.9314 0.2194 0.9944
30 O 0.4314 0.7806 0.5056
31 O 0.0686 0.7806 0.0056
32 O 0.5686 0.2194 0.4944
33 O 0.7981 0.0152 0.8792
34 O 0.2981 0.9848 0.6208
35 O 0.2019 0.9848 0.1208
36 O 0.7019 0.0152 0.3792
37 O 0.8073 0.0136 0.6100
38 O 0.3073 0.9864 0.8900
39 O 0.1927 0.9864 0.3900
40 O 0.6927 0.0136 0.1100

---

# 3
Here is CuSe3I after structural relaxation from the Materials Project. Energies are from PBE-GGA.

Space group: R-3m
Formation enthalpy at 0 K (meV per atom): -169
M_tot (μB/f.u.): 0.001
Uncorrected energy (eV per atom): -3.315

Cell: 9.6005 9.6005 9.6005 Å, 95.28 95.28 95.28°
Element x y z (fractional)
1 Cu 0.3909 0.8873 0.8873
2 Cu 0.8873 0.8873 0.3909
3 Cu 0.8873 0.3909 0.8873
4 Cu 0.1127 0.6091 0.1127
5 Cu 0.6091 0.1127 0.1127
6 Cu 0.1127 0.1127 0.6091
7 Se 0.8751 0.6109 0.6109
8 Se 0.6109 0.6109 0.8751
9 Se 0.6109 0.8751 0.6109
10 Se 0.3891 0.1249 0.3891
11 Se 0.1249 0.3891 0.3891
12 Se 0.3891 0.3891 0.1249
13 Se 0.1378 0.8742 0.8742
14 Se 0.8742 0.8742 0.1378
15 Se 0.8742 0.1378 0.8742
16 Se 0.1258 0.8622 0.1258
17 Se 0.8622 0.1258 0.1258
18 Se 0.1258 0.1258 0.8622
19 Se 0.4538 0.7127 0.7127
20 Se 0.7127 0.7127 0.4538
21 Se 0.7127 0.4538 0.7127
22 Se 0.2873 0.5462 0.2873
23 Se 0.5462 0.2873 0.2873
24 Se 0.2873 0.2873 0.5462
25 I 0.1475 0.8525 0.5000
26 I 0.8525 0.5000 0.1475
27 I 0.5000 0.1475 0.8525
28 I 0.8525 0.1475 0.5000
29 I 0.1475 0.5000 0.8525
30 I 0.5000 0.8525 0.1475

---

# 4
Here is CuH2SeO5 after structural relaxation from the Materials Project. Energies are from PBE-GGA.

Space group: P-1
Formation enthalpy at 0 K (meV per atom): -1117
M_tot (μB/f.u.): 1.001
Uncorrected energy (eV per atom): -5.082

Cell: 5.1817 5.6861 7.6637 Å, 101.46 106.58 98.72°
Element x y z (fractional)
1 Cu 0.0000 0.0000 0.0000
2 Cu 0.5000 0.5000 0.5000
3 H 0.9063 0.4661 0.7581
4 H 0.0937 0.5339 0.2419
5 H 0.0271 0.6708 0.6643
6 H 0.9729 0.3292 0.3357
7 Se 0.5728 0.8779 0.2316
8 Se 0.4272 0.1221 0.7684
9 O 0.6787 0.8228 0.0412
10 O 0.3213 0.1772 0.9588
11 O 0.2212 0.8136 0.1555
12 O 0.7788 0.1864 0.8445
13 O 0.7032 0.1614 0.3699
14 O 0.2968 0.8386 0.6301
15 O 0.6687 0.6658 0.3467
16 O 0.3313 0.3342 0.6533
17 O 0.1328 0.3936 0.2958
18 O 0.8672 0.6064 0.7042

---

# 5
Here is Tb2FeCo3 after structural relaxation from the Materials Project. Energies are from PBE-GGA.

Space group: R-3m
Formation enthalpy at 0 K (meV per atom): -164
Uncorrected energy (eV per atom): -6.674

Cell: 4.9638 4.9638 4.9638 Å, 62.16 62.16 62.16°
Element x y z (fractional)
1 Tb 0.6269 0.6269 0.6269
2 Tb 0.3731 0.3731 0.3731
3 Fe 0.0000 0.0000 0.0000
4 Co 0.0000 0.5000 0.0000
5 Co 0.5000 0.0000 0.0000
6 Co 0.0000 0.0000 0.5000

---

# 6
Here is Ga3Pt5 after structural relaxation from the Materials Project. Energies are from PBE-GGA.

Space group: Cmmm
Formation enthalpy at 0 K (meV per atom): -555
Uncorrected energy (eV per atom): -5.485

Cell: 5.5506 5.5506 3.9949 Å, 90.00 90.00 94.39°
Element x y z (fractional)
1 Ga 0.0000 0.0000 0.0000
2 Ga 0.7145 0.2855 0.5000
3 Ga 0.2855 0.7145 0.5000
4 Pt 0.5000 0.5000 0.0000
5 Pt 0.0000 0.5000 0.0000
6 Pt 0.5000 0.0000 0.0000
7 Pt 0.2087 0.2087 0.5000
8 Pt 0.7913 0.7913 0.5000

---

# 7
Here is LiPmIn2 after structural relaxation from the Materials Project. Energies are from PBE-GGA.

Space group: Fm-3m
Formation enthalpy at 0 K (meV per atom): -390
Uncorrected energy (eV per atom): -3.431

Cell: 5.2177 5.2177 5.2177 Å, 60.00 60.00 60.00°
Element x y z (fractional)
1 Li 0.5000 0.5000 0.5000
2 Pm 0.0000 0.0000 0.0000
3 In 0.7500 0.7500 0.7500
4 In 0.2500 0.2500 0.2500

---

# 8
Here is Sm5In4Pt2 after structural relaxation from the Materials Project. Energies are from PBE-GGA.

Space group: Pbam
Formation enthalpy at 0 K (meV per atom): -780
Uncorrected energy (eV per atom): -5.030

Cell: 3.7575 8.2554 18.5622 Å, 90.00 90.00 90.00°
Element x y z (fractional)
1 Sm 0.0000 0.1158 0.4150
2 Sm 0.0000 0.8842 0.5850
3 Sm 0.0000 0.3842 0.9150
4 Sm 0.0000 0.6158 0.0850
5 Sm 0.0000 0.2427 0.2188
6 Sm 0.0000 0.7573 0.7812
7 Sm 0.0000 0.2573 0.7188
8 Sm 0.0000 0.7427 0.2812
9 Sm 0.0000 0.0000 0.0000
10 Sm 0.0000 0.5000 0.5000
11 In 0.5000 0.4265 0.3508
12 In 0.5000 0.5735 0.6492
13 In 0.5000 0.0735 0.8508
14 In 0.5000 0.9265 0.1492
15 In 0.5000 0.2914 0.0677
16 In 0.5000 0.7086 0.9323
17 In 0.5000 0.2086 0.5677
18 In 0.5000 0.7914 0.4323
19 Pt 0.5000 0.0243 0.3024
20 Pt 0.5000 0.9757 0.6976
21 Pt 0.5000 0.4757 0.8024
22 Pt 0.5000 0.5243 0.1976

---

# 9
Here is U4Te3Se3 after structural relaxation from the Materials Project. Energies are from PBE-GGA.

Space group: Pmc2_1
Formation enthalpy at 0 K (meV per atom): -1043
Uncorrected energy (eV per atom): -7.410

Cell: 4.0411 11.3770 11.8166 Å, 90.00 90.00 90.00°
Element x y z (fractional)
1 U 0.7500 0.4985 0.6726
2 U 0.7500 0.0015 0.1726
3 U 0.2500 0.4926 0.3094
4 U 0.2500 0.0074 0.8094
5 U 0.2500 0.1852 0.4981
6 U 0.2500 0.3148 0.9981
7 U 0.7500 0.8154 0.5200
8 U 0.7500 0.6846 0.0200
9 Te 0.2500 0.9479 0.3710
10 Te 0.2500 0.5521 0.8710
11 Te 0.2500 0.2900 0.7343
12 Te 0.2500 0.2100 0.2343
13 Te 0.7500 0.7051 0.2758
14 Te 0.7500 0.7949 0.7758
15 Se 0.2500 0.6280 0.5406
16 Se 0.2500 0.8720 0.0406
17 Se 0.7500 0.3694 0.4535
18 Se 0.7500 0.1306 0.9535
19 Se 0.7500 0.0510 0.6247
20 Se 0.7500 0.4490 0.1247

---

# 10
Here is Sb5Te3O18 after structural relaxation from the Materials Project. Energies are from PBE-GGA.

Space group: C2
Formation enthalpy at 0 K (meV per atom): -1601
M_tot (μB/f.u.): 1.000
Uncorrected energy (eV per atom): -5.708

Cell: 8.9301 8.9301 11.9619 Å, 85.88 85.88 66.59°
Element x y z (fractional)
1 Sb 0.4889 0.1501 0.9615
2 Sb 0.7263 0.8901 0.4530
3 Sb 0.6456 0.6381 0.2827
4 Sb 0.2651 0.0532 0.7978
5 Sb 0.3619 0.3544 0.7173
6 Sb 0.9286 0.0714 0.0000
7 Sb 0.6986 0.3014 0.5000
8 Sb 0.9468 0.7349 0.2022
9 Sb 0.1099 0.2737 0.5470
10 Sb 0.8499 0.5111 0.0385
11 Te 0.1929 0.5592 0.9642
12 Te 0.7587 0.1918 0.2480
13 Te 0.8082 0.2413 0.7520
14 Te 0.1684 0.6028 0.4436
15 Te 0.3972 0.8316 0.5564
16 Te 0.4408 0.8071 0.0358
17 O 0.9936 0.5516 0.9117
18 O 0.5608 0.2416 0.8167
19 O 0.5057 0.4186 0.6080
20 O 0.8736 0.2104 0.3735
21 O 0.7584 0.4392 0.1833
22 O 0.7896 0.1264 0.6265
23 O 0.1421 0.6901 0.2862
24 O 0.8796 0.0416 0.8445
25 O 0.8492 0.3903 0.5619
26 O 0.5498 0.8328 0.3807
27 O 0.3632 0.3613 0.0309
28 O 0.0474 0.5173 0.1209
29 O 0.0553 0.1843 0.7174
30 O 0.2683 0.2534 0.8647
31 O 0.6387 0.6368 0.9691
32 O 0.4519 0.7157 0.1916
33 O 0.2492 0.0337 0.4912
34 O 0.7466 0.7317 0.1353
35 O 0.5814 0.4943 0.3920
36 O 0.9663 0.7508 0.5088
37 O 0.1446 0.4079 0.4061
38 O 0.3623 0.1472 0.6652
39 O 0.9584 0.1204 0.1555
40 O 0.2843 0.5481 0.8084
41 O 0.1617 0.0018 0.9402
42 O 0.8793 0.3104 0.9601
43 O 0.4827 0.9526 0.8791
44 O 0.3099 0.8579 0.7138
45 O 0.8157 0.9447 0.2826
46 O 0.8528 0.6377 0.3348
47 O 0.5921 0.8554 0.5939
48 O 0.6896 0.1207 0.0399
49 O 0.6097 0.1508 0.4381
50 O 0.1672 0.4502 0.6193
51 O 0.9982 0.8383 0.0598
52 O 0.4484 0.0064 0.0883

---

# 11
Here is RbGe3 after structural relaxation from the Materials Project. Energies are from PBE-GGA.

Space group: P6_3/mmc
Formation enthalpy at 0 K (meV per atom): 3
M_tot (μB/f.u.): 0.000
Uncorrected energy (eV per atom): -3.710

Cell: 7.5129 7.5129 4.9478 Å, 90.00 90.00 120.00°
Element x y z (fractional)
1 Rb 0.3333 0.6667 0.7500
2 Rb 0.6667 0.3333 0.2500
3 Ge 0.1176 0.2352 0.2500
4 Ge 0.7648 0.8824 0.2500
5 Ge 0.1176 0.8824 0.2500
6 Ge 0.8824 0.7648 0.7500
7 Ge 0.2352 0.1176 0.7500
8 Ge 0.8824 0.1176 0.7500

---

# 12
Here is KGdNb2O6 after structural relaxation from the Materials Project. Energies are from PBE-GGA.

Space group: Fm-3m
Formation enthalpy at 0 K (meV per atom): -2959
M_tot (μB/f.u.): 6.280
Uncorrected energy (eV per atom): -9.054

Cell: 5.7461 5.7461 5.7461 Å, 60.00 60.00 60.00°
Element x y z (fractional)
1 K 0.0000 0.0000 0.0000
2 Gd 0.5000 0.5000 0.5000
3 Nb 0.2500 0.2500 0.2500
4 Nb 0.7500 0.7500 0.7500
5 O 0.0000 0.0000 0.5000
6 O 0.5000 0.5000 0.0000
7 O 0.0000 0.5000 0.5000
8 O 0.5000 0.0000 0.0000
9 O 0.0000 0.5000 0.0000
10 O 0.5000 0.0000 0.5000

---

# 13
Here is Zn3RhF6 after structural relaxation from the Materials Project. Energies are from PBE-GGA.

Space group: P-1
Formation enthalpy at 0 K (meV per atom): -1465
M_tot (μB/f.u.): 1.000
Uncorrected energy (eV per atom): -3.451
Energy relative to the lowest polymorph listed for this composition (kJ/mol of formula units): 206

Cell: 5.2408 6.8145 10.6662 Å, 83.94 96.78 105.20°
Element x y z (fractional)
1 Zn 0.0000 0.0000 0.5000
2 Zn 0.5000 0.5000 0.0000
3 Zn 0.0000 0.5000 0.0000
4 Rh 0.0000 0.0000 0.0000
5 F 0.9093 0.2501 0.9023
6 F 0.0907 0.7499 0.0977
7 F 0.9280 0.9599 0.6579
8 F 0.0720 0.0401 0.3421
9 F 0.6726 0.8130 0.9303
10 F 0.3274 0.1870 0.0697

---

# 14
Here is Na2LiDyCl6 after structural relaxation from the Materials Project. Energies are from PBE-GGA.

Space group: Fm-3m
Formation enthalpy at 0 K (meV per atom): -2248
M_tot (μB/f.u.): 0.000
Uncorrected energy (eV per atom): -3.904

Cell: 7.2638 7.2638 7.2638 Å, 60.00 60.00 60.00°
Element x y z (fractional)
1 Na 0.7500 0.7500 0.7500
2 Na 0.2500 0.2500 0.2500
3 Li 0.5000 0.5000 0.5000
4 Dy 0.0000 0.0000 0.0000
5 Cl 0.7456 0.2544 0.2544
6 Cl 0.2544 0.2544 0.7456
7 Cl 0.2544 0.7456 0.7456
8 Cl 0.2544 0.7456 0.2544
9 Cl 0.7456 0.2544 0.7456
10 Cl 0.7456 0.7456 0.2544